(one)
Below is a relaxed Zn2SbWO6 crystal, with properties calculated at the PBE+U level.

Lattice parameters (Å, degrees): 5.188 5.673 6.151 81.20 79.57 68.80
Fractional positions:
Zn: 0.000 0.000 0.000
Zn: 0.288 0.688 0.518
Sb: 0.201 0.366 0.114
W: 0.717 0.077 0.501
O: 0.124 0.716 0.244
O: 0.443 0.330 0.644
O: 0.563 0.829 0.538
O: 0.600 0.184 0.192
O: 0.955 0.894 0.725
O: 0.995 0.244 0.390

Summary:
space-group type: No. 1
spin magnetization: 0.008 μB per cell



(two)
Below is a relaxed Zn2SbWO6 crystal, with properties calculated at the PBE+U level.

Lattice parameters (Å, degrees): 5.471 5.463 9.743 90.00 122.85 90.00
Fractional positions:
Zn: 0.224 0.018 0.246
Zn: 0.224 0.482 0.746
Zn: 0.776 0.518 0.254
Zn: 0.776 0.982 0.754
Sb: 0.000 0.000 0.500
Sb: 0.000 0.500 0.000
W: 0.500 0.000 0.000
W: 0.500 0.500 0.500
O: 0.150 0.118 0.772
O: 0.150 0.382 0.272
O: 0.244 0.645 0.564
O: 0.244 0.855 0.064
O: 0.446 0.183 0.583
O: 0.446 0.317 0.083
O: 0.554 0.683 0.917
O: 0.554 0.817 0.417
O: 0.756 0.145 0.936
O: 0.756 0.355 0.436
O: 0.850 0.618 0.728
O: 0.850 0.882 0.228

Summary:
space-group type: No. 14
spin magnetization: 1.998 μB per cell



Name the most stable of them. (two).



(one)
Below is a relaxed LiCo3O6 crystal, with properties calculated at the PBE+U level.

Lattice parameters (Å, degrees): 4.894 4.894 10.117 94.44 94.44 119.17
Fractional positions:
Li: 0.248 0.248 0.251
Li: 0.752 0.752 0.749
Co: 0.000 0.000 0.500
Co: 0.166 0.834 0.000
Co: 0.333 0.667 0.500
Co: 0.501 0.499 0.000
Co: 0.668 0.332 0.500
Co: 0.835 0.165 0.000
O: 0.021 0.695 0.597
O: 0.103 0.102 0.896
O: 0.193 0.522 0.097
O: 0.305 0.979 0.403
O: 0.370 0.365 0.597
O: 0.478 0.807 0.903
O: 0.524 0.192 0.097
O: 0.635 0.630 0.403
O: 0.699 0.025 0.597
O: 0.808 0.476 0.903
O: 0.898 0.897 0.104
O: 0.975 0.301 0.403

Summary:
space-group type: No. 5
spin magnetization: 2.004 μB per cell



(two)
Below is a relaxed LiCo3O6 crystal, with properties calculated at the PBE+U level.

Lattice parameters (Å, degrees): 4.897 4.897 10.421 103.76 103.76 59.98
Fractional positions:
Li: 0.085 0.915 0.500
Li: 0.915 0.085 0.000
Co: 0.166 0.336 0.749
Co: 0.336 0.166 0.249
Co: 0.502 0.664 0.749
Co: 0.664 0.502 0.249
Co: 0.827 0.996 0.741
Co: 0.996 0.827 0.241
O: 0.030 0.189 0.341
O: 0.139 0.633 0.650
O: 0.189 0.030 0.841
O: 0.299 0.806 0.150
O: 0.357 0.540 0.344
O: 0.453 0.966 0.649
O: 0.540 0.357 0.844
O: 0.633 0.139 0.150
O: 0.706 0.865 0.344
O: 0.806 0.299 0.650
O: 0.865 0.706 0.844
O: 0.966 0.453 0.149

Summary:
space-group type: No. 9



Name the most stable of them. (two).



(one)
Below is a relaxed BaYMgMnCuO5 crystal, with properties calculated at the PBE+U level.

Lattice parameters (Å, degrees): 4.100 3.894 9.833 90.00 99.01 90.00
Fractional positions:
Ba: 0.000 0.000 0.000
Y: 0.730 0.000 0.631
Mg: 0.579 0.500 0.250
Mn: 0.156 0.500 0.454
Cu: 0.402 0.500 0.820
O: 0.065 0.500 0.212
O: 0.193 0.000 0.529
O: 0.457 0.000 0.842
O: 0.654 0.500 0.450
O: 0.881 0.500 0.747

Summary:
space-group type: No. 6
spin magnetization: 4.639 μB per cell



(two)
Below is a relaxed BaYMgMnCuO5 crystal, with properties calculated at the PBE+U level.

Lattice parameters (Å, degrees): 3.634 4.629 9.203 90.00 90.00 90.00
Fractional positions:
Ba: 0.000 0.000 0.000
Y: 0.000 0.000 0.577
Mg: 0.000 0.500 0.274
Mn: 0.500 0.500 0.790
Cu: 0.500 0.500 0.507
O: 0.000 0.500 0.499
O: 0.000 0.500 0.875
O: 0.500 0.000 0.438
O: 0.500 0.000 0.765
O: 0.500 0.500 0.180

Summary:
space-group type: No. 25
spin magnetization: 5.000 μB per cell



(three)
Below is a relaxed BaYMgMnCuO5 crystal, with properties calculated at the PBE+U level.

Lattice parameters (Å, degrees): 3.958 3.958 9.608 90.14 90.14 90.00
Fractional positions:
Ba: 0.000 0.000 0.000
Y: 0.001 0.001 0.365
Mg: 0.000 0.000 0.650
Mn: 0.500 0.500 0.695
Cu: 0.500 0.500 0.232
O: 0.000 0.500 0.247
O: 0.000 0.500 0.593
O: 0.500 0.000 0.247
O: 0.500 0.000 0.593
O: 0.500 0.500 0.911

Summary:
space-group type: No. 8
spin magnetization: 4.717 μB per cell



Name the most stable of them. (one).